Compound: HoIr2
Source: the Materials Project database
Functional: r2SCAN
Structure: relaxed

a = 5.318 Å, b = 5.318 Å, c = 5.318 Å
α = 60.00°, β = 60.00°, γ = 60.00°
Element x y z (fractional)
Ho 0.125 0.125 0.125
Ho 0.875 0.875 0.875
Ir 0.000 0.500 0.500
Ir 0.500 0.000 0.500
Ir 0.500 0.500 0.000
Ir 0.500 0.500 0.500

Properties
Calculated formation energy (eV/atom): -0.927
Spin magnetization (μB per formula unit): 0.00
Volume (Å³ per atom): 17.73